! PBE CeNd4Zr3O14, relaxed; values from VASP
! total moment	0.00	μB/atom
! ρ	6.3	g/cm3
! formation enthalpy at 0 K	-3.83	eV/atom
&SYSTEM
  ibrav = 0, nat = 22, ntyp = 4
/
ATOMIC_SPECIES
Ce 140.12 Ce.upf
Nd 144.24 Nd.upf
Zr 91.22 Zr.upf
O 16.00 O.upf
CELL_PARAMETERS angstrom
6.6280 -3.8621 0.0000
6.6280 3.8621 0.0000
4.3776 0.0000 6.2995
ATOMIC_POSITIONS angstrom
Ce 0.0000 0.0000 0.0000
Nd 8.8168 0.0000 3.1498
Nd 5.5028 1.9311 3.1498
Nd 6.6280 0.0000 0.0000
Nd 5.5028 -1.9311 3.1498
Zr 3.3140 -1.9311 0.0000
Zr 2.1888 0.0000 3.1498
Zr 3.3140 1.9311 0.0000
O 10.9984 0.0000 3.9291
O 6.6353 0.0000 2.3704
O 9.6770 -2.2528 2.0759
O 12.2829 2.1252 5.6909
O 8.3643 0.0000 5.7505
O 13.5212 0.0000 2.2245
O 12.2829 -2.1252 5.6909
O 9.6770 2.2528 2.0759
O 7.9566 2.2528 4.2236
O 5.3508 -2.1252 0.6086
O 9.2693 0.0000 0.5491
O 4.1124 0.0000 4.0750
O 5.3508 2.1252 0.6086
O 7.9566 -2.2528 4.2236

***

! PBE CeNdS2, relaxed; values from VASP
! ρ	6.1	g/cm3
! formation enthalpy at 0 K	-2.29	eV/atom
&SYSTEM
  ibrav = 0, nat = 4, ntyp = 3
/
ATOMIC_SPECIES
Ce 140.12 Ce.upf
Nd 144.24 Nd.upf
S 32.06 S.upf
CELL_PARAMETERS angstrom
-0.2838 0.1545 -7.0700
-3.1748 -2.4199 -5.8440
-3.8403 1.5842 -5.7299
ATOMIC_POSITIONS angstrom
Ce 0.0000 0.0000 0.0000
Nd -3.6494 -0.3407 -9.3219
S -1.8311 -0.1709 -4.6771
S -5.4678 -0.5104 -13.9667

***

! PBE CeNdSi2, relaxed; values from VASP
! ρ	6.0	g/cm3
! formation enthalpy at 0 K	-0.66	eV/atom
&SYSTEM
  ibrav = 0, nat = 8, ntyp = 3
/
ATOMIC_SPECIES
Ce 140.12 Ce.upf
Nd 144.24 Nd.upf
Si 28.09 Si.upf
CELL_PARAMETERS angstrom
-0.6781 -1.7951 3.4211
5.7058 -1.2604 0.4695
1.2377 7.0775 3.9590
ATOMIC_POSITIONS angstrom
Ce 1.6190 4.6430 2.7572
Ce 5.1519 0.1872 1.1193
Nd 2.1285 0.9097 3.1479
Nd 4.3102 4.1032 5.2560
Si 4.2436 2.9945 2.4123
Si 2.1674 -0.2223 0.3129
Si 5.2247 1.2902 3.9612
Si 1.5725 5.7725 5.5893